Record 1
Compound: Ti3AlC
Source: the Materials Project database
Functional: PBE
Structure: optimized geometry

Unit cell a=4.1811 b=4.1811 c=4.1811 alpha=90.00 beta=90.00 gamma=90.00
Last column: nearest neighbours and their distance in Å.
Sites, in units of the cell vectors:
Ti 0.0000 0.5000 0.5000  2 C 2.09
Ti 0.5000 0.5000 0.0000  2 C 2.09
Ti 0.5000 0.0000 0.5000  2 C 2.09
Al 0.0000 0.0000 0.0000  12 Ti 2.96
C 0.5000 0.5000 0.5000  6 Ti 2.09

Summary:
DFT formation energy: -0.592 eV per atom
Space-group type: Pm-3m (221)
V: 14.619 Å³/atom
Uncorrected energy: -7.92 eV per atom

Record 2
Compound: Ti3AlC2
Source: the Materials Project database
Functional: PBE
Structure: optimized geometry

Unit cell a=3.0814 b=3.0814 c=18.6788 alpha=90.00 beta=90.00 gamma=120.00
Last column: nearest neighbours and their distance in Å.
Sites, in units of the cell vectors:
Ti 0.0000 0.0000 0.0000  6 C 2.20
Ti 0.0000 0.0000 0.5000  6 C 2.20
Ti 0.6667 0.3333 0.3732  3 C 2.08
Ti 0.6667 0.3333 0.1268  3 C 2.08
Ti 0.3333 0.6667 0.8732  3 C 2.08
Ti 0.3333 0.6667 0.6268  3 C 2.08
C 0.3333 0.6667 0.4307  6 Ti 2.08-2.20
C 0.6667 0.3333 0.9307  6 Ti 2.08-2.20
C 0.3333 0.6667 0.0693  6 Ti 2.08-2.20
C 0.6667 0.3333 0.5693  6 Ti 2.08-2.20
Al 0.0000 0.0000 0.2500  6 Ti 2.91, 6 Al 3.08
Al 0.0000 0.0000 0.7500  6 Ti 2.91, 6 Al 3.08

Summary:
DFT formation energy: -0.762 eV per atom
Space-group type: P6_3/mmc (194)
V: 12.799 Å³/atom
Uncorrected energy: -8.41 eV per atom

Record 3
Compound: Tm3AlC
Source: the Materials Project database
Functional: PBE
Structure: optimized geometry

Unit cell a=5.3016 b=5.3016 c=5.3016 alpha=90.00 beta=90.00 gamma=90.00
Last column: nearest neighbours and their distance in Å.
Sites, in units of the cell vectors:
Tm 0.0000 0.5000 0.5000  2 Al 2.65
Tm 0.5000 0.5000 0.0000  2 Al 2.65
Tm 0.5000 0.0000 0.5000  2 Al 2.65
C 0.0000 0.0000 0.0000  12 Tm 3.75
Al 0.5000 0.5000 0.5000  6 Tm 2.65

Summary:
DFT formation energy: 1.456 eV per atom
Space-group type: Pm-3m (221)
V: 29.802 Å³/atom
Uncorrected energy: -3.82 eV per atom